Computed, not measured: a geometry-optimized DyFe5P3 structure at the r²SCAN level of DFT.

Summary:
Electronic total energy = -545.62 eV for the cell shown
Formation enthalpy at 0 K = -5.35 eV/f.u.

Cell lengths 3.662, 10.397, 11.928 Å; angles 90.00, 90.00, 90.00 degrees
Fractional positions:
Dy: 0.250 0.581 0.703
Dy: 0.250 0.919 0.203
Dy: 0.750 0.419 0.297
Dy: 0.750 0.081 0.797
Fe: 0.250 0.709 0.988
Fe: 0.250 0.791 0.488
Fe: 0.750 0.291 0.012
Fe: 0.750 0.209 0.512
Fe: 0.250 0.406 0.492
Fe: 0.250 0.094 0.992
Fe: 0.750 0.594 0.508
Fe: 0.750 0.906 0.008
Fe: 0.250 0.217 0.179
Fe: 0.250 0.283 0.679
Fe: 0.750 0.783 0.821
Fe: 0.750 0.717 0.321
Fe: 0.250 0.872 0.705
Fe: 0.250 0.628 0.205
Fe: 0.750 0.128 0.295
Fe: 0.750 0.372 0.795
Fe: 0.250 0.462 0.931
Fe: 0.250 0.038 0.431
Fe: 0.750 0.538 0.069
Fe: 0.750 0.962 0.569
P: 0.250 0.428 0.113
P: 0.250 0.072 0.613
P: 0.750 0.572 0.887
P: 0.750 0.928 0.387
P: 0.250 0.264 0.876
P: 0.250 0.236 0.376
P: 0.750 0.736 0.124
P: 0.750 0.764 0.624
P: 0.250 0.596 0.400
P: 0.250 0.904 0.900
P: 0.750 0.404 0.600
P: 0.750 0.096 0.100


Computed, not measured: a geometry-optimized Dy2Fe3Si5 structure at the r²SCAN level of DFT.

Summary:
Electronic total energy = -626.70 eV for the cell shown
Formation enthalpy at 0 K = -5.60 eV/f.u.

Cell lengths 10.293, 10.294, 5.447 Å; angles 90.00, 90.00, 90.00 degrees
Fractional positions:
Dy: 0.931 0.237 0.000
Dy: 0.431 0.263 0.500
Dy: 0.237 0.069 0.000
Dy: 0.763 0.931 0.000
Dy: 0.263 0.569 0.500
Dy: 0.569 0.737 0.500
Dy: 0.069 0.763 0.000
Dy: 0.737 0.431 0.500
Fe: 0.355 0.377 0.000
Fe: 0.645 0.623 0.000
Fe: 0.623 0.355 0.000
Fe: 0.123 0.145 0.500
Fe: 0.377 0.645 0.000
Fe: 0.500 0.000 0.750
Fe: 0.145 0.877 0.500
Fe: 0.855 0.123 0.500
Fe: 0.877 0.855 0.500
Fe: 0.500 0.000 0.250
Fe: 0.000 0.500 0.750
Fe: 0.000 0.500 0.250
Si: 0.500 0.500 0.228
Si: 0.678 0.178 0.750
Si: 0.322 0.822 0.750
Si: 0.821 0.480 0.000
Si: 0.321 0.020 0.500
Si: 0.178 0.322 0.750
Si: 0.678 0.178 0.250
Si: 0.520 0.821 0.000
Si: 0.322 0.822 0.250
Si: 0.178 0.322 0.250
Si: 0.179 0.520 0.000
Si: 0.480 0.179 0.000
Si: 0.822 0.678 0.250
Si: 0.980 0.321 0.500
Si: 0.000 0.000 0.728
Si: 0.500 0.500 0.772
Si: 0.020 0.679 0.500
Si: 0.822 0.678 0.750
Si: 0.000 0.000 0.272
Si: 0.679 0.980 0.500


Computed, not measured: a geometry-optimized Dy6FeTe2 structure at the r²SCAN level of DFT.

Summary:
Electronic total energy = -263.32 eV for the cell shown
Formation enthalpy at 0 K = -6.19 eV/f.u.

Cell lengths 8.304, 8.304, 4.030 Å; angles 90.00, 90.00, 120.00 degrees
Fractional positions:
Dy: 0.601 0.000 0.500
Dy: 0.399 0.399 0.500
Dy: 0.000 0.601 0.500
Dy: 0.000 0.237 0.000
Dy: 0.763 0.763 0.000
Dy: 0.237 0.000 0.000
Fe: 0.000 0.000 0.500
Te: 0.333 0.667 0.000
Te: 0.667 0.333 0.000


Computed, not measured: a geometry-optimized DyYFe4 structure at the r²SCAN level of DFT.

Summary:
Electronic total energy = -109.77 eV for the cell shown
Formation enthalpy at 0 K = 0.18 eV/f.u.

Cell lengths 5.179, 5.182, 5.182 Å; angles 89.99, 59.99, 120.01 degrees
Fractional positions:
Dy: 0.500 0.750 0.750
Y: 0.000 0.000 0.000
Fe: 0.750 0.375 0.874
Fe: 0.250 0.375 0.375
Fe: 0.250 0.874 0.375
Fe: 0.750 0.375 0.375


Computed, not measured: a geometry-optimized DyGa3 structure at the r²SCAN level of DFT.

Summary:
Electronic total energy = -68.51 eV for the cell shown
Formation enthalpy at 0 K = -2.20 eV/f.u.

Cell lengths 4.240, 4.240, 4.240 Å; angles 90.00, 90.00, 90.00 degrees
Fractional positions:
Dy: 0.000 0.000 0.000
Ga: 0.500 0.500 0.000
Ga: 0.500 0.000 0.500
Ga: 0.000 0.500 0.500


Computed, not measured: a geometry-optimized DyGa3 structure at the r²SCAN level of DFT.

Summary:
Electronic total energy = -686.35 eV for the cell shown
Formation enthalpy at 0 K = -2.33 eV/f.u.

Cell lengths 6.188, 6.188, 22.790 Å; angles 90.00, 90.00, 120.00 degrees
Fractional positions:
Dy: 0.000 0.000 0.250
Dy: 0.000 0.000 0.750
Dy: 0.333 0.667 0.350
Dy: 0.667 0.333 0.650
Dy: 0.667 0.333 0.850
Dy: 0.333 0.667 0.150
Dy: 0.333 0.667 0.542
Dy: 0.667 0.333 0.458
Dy: 0.667 0.333 0.042
Dy: 0.333 0.667 0.958
Ga: 0.522 0.478 0.250
Ga: 0.522 0.043 0.250
Ga: 0.957 0.478 0.250
Ga: 0.478 0.522 0.750
Ga: 0.478 0.957 0.750
Ga: 0.043 0.522 0.750
Ga: 0.826 0.174 0.351
Ga: 0.826 0.652 0.351
Ga: 0.348 0.174 0.351
Ga: 0.174 0.826 0.649
Ga: 0.174 0.348 0.649
Ga: 0.652 0.826 0.649
Ga: 0.174 0.826 0.851
Ga: 0.174 0.348 0.851
Ga: 0.652 0.826 0.851
Ga: 0.826 0.174 0.149
Ga: 0.826 0.652 0.149
Ga: 0.348 0.174 0.149
Ga: 0.142 0.858 0.448
Ga: 0.142 0.284 0.448
Ga: 0.716 0.858 0.448
Ga: 0.858 0.142 0.552
Ga: 0.858 0.716 0.552
Ga: 0.284 0.142 0.552
Ga: 0.858 0.142 0.948
Ga: 0.858 0.716 0.948
Ga: 0.284 0.142 0.948
Ga: 0.142 0.858 0.052
Ga: 0.142 0.284 0.052
Ga: 0.716 0.858 0.052


Computed, not measured: a geometry-optimized DyGa structure at the r²SCAN level of DFT.

Summary:
Electronic total energy = -89.85 eV for the cell shown
Formation enthalpy at 0 K = -1.50 eV/f.u.

Cell lengths 4.041, 4.324, 5.824 Å; angles 111.79, 90.00, 90.00 degrees
Fractional positions:
Dy: 0.250 0.861 0.722
Dy: 0.750 0.139 0.278
Ga: 0.250 0.575 0.150
Ga: 0.750 0.425 0.850


Computed, not measured: a geometry-optimized Dy3Ga2 structure at the r²SCAN level of DFT.

Summary:
Electronic total energy = -976.41 eV for the cell shown
Formation enthalpy at 0 K = -3.22 eV/f.u.

Cell lengths 11.036, 11.036, 11.036 Å; angles 95.81, 116.71, 116.71 degrees
Fractional positions:
Dy: 0.500 0.853 0.353
Dy: 0.500 0.353 0.853
Dy: 0.500 0.147 0.647
Dy: 0.500 0.647 0.147
Dy: 0.164 0.332 0.832
Dy: 0.836 0.668 0.168
Dy: 0.500 0.168 0.332
Dy: 0.500 0.832 0.668
Dy: 0.730 0.568 0.434
Dy: 0.270 0.703 0.838
Dy: 0.865 0.203 0.934
Dy: 0.135 0.068 0.338
Dy: 0.865 0.434 0.703
Dy: 0.135 0.838 0.568
Dy: 0.730 0.934 0.068
Dy: 0.270 0.338 0.203
Dy: 0.270 0.432 0.566
Dy: 0.730 0.297 0.162
Dy: 0.135 0.797 0.066
Dy: 0.865 0.932 0.662
Dy: 0.135 0.566 0.297
Dy: 0.865 0.162 0.432
Dy: 0.270 0.066 0.932
Dy: 0.730 0.662 0.797
Ga: 0.000 0.750 0.750
Ga: 0.000 0.250 0.250
Ga: 0.000 0.500 0.500
Ga: 0.000 0.000 0.000
Ga: 0.265 0.883 0.383
Ga: 0.735 0.117 0.617
Ga: 0.500 0.617 0.883
Ga: 0.500 0.383 0.117
Ga: 0.144 0.121 0.621
Ga: 0.856 0.477 0.977
Ga: 0.500 0.977 0.121
Ga: 0.500 0.621 0.477
Ga: 0.856 0.879 0.379
Ga: 0.144 0.523 0.023
Ga: 0.500 0.023 0.879
Ga: 0.500 0.379 0.523


Computed, not measured: a geometry-optimized Dy5Ga3 structure at the r²SCAN level of DFT.

Summary:
Electronic total energy = -397.94 eV for the cell shown
Formation enthalpy at 0 K = -4.73 eV/f.u.

Cell lengths 7.607, 7.607, 8.853 Å; angles 115.45, 115.45, 90.00 degrees
Fractional positions:
Dy: 0.000 0.000 0.000
Dy: 0.500 0.500 0.000
Dy: 0.317 0.817 0.295
Dy: 0.477 0.317 0.295
Dy: 0.817 0.977 0.295
Dy: 0.523 0.683 0.705
Dy: 0.183 0.023 0.705
Dy: 0.023 0.523 0.705
Dy: 0.683 0.183 0.705
Dy: 0.977 0.477 0.295
Ga: 0.250 0.250 0.500
Ga: 0.750 0.750 0.500
Ga: 0.379 0.879 0.000
Ga: 0.121 0.379 0.000
Ga: 0.879 0.621 0.000
Ga: 0.621 0.121 0.000


Computed, not measured: a geometry-optimized DyGa3 structure at the r²SCAN level of DFT.

Summary:
Electronic total energy = -274.47 eV for the cell shown
Formation enthalpy at 0 K = -2.31 eV/f.u.

Cell lengths 9.813, 9.813, 9.813 Å; angles 36.71, 36.71, 36.71 degrees
Fractional positions:
Dy: 0.869 0.869 0.869
Dy: 0.131 0.131 0.131
Dy: 0.712 0.712 0.712
Dy: 0.288 0.288 0.288
Ga: 0.402 0.826 0.402
Ga: 0.402 0.402 0.826
Ga: 0.826 0.402 0.402
Ga: 0.598 0.174 0.598
Ga: 0.598 0.598 0.174
Ga: 0.174 0.598 0.598
Ga: 0.203 0.718 0.203
Ga: 0.203 0.203 0.718
Ga: 0.718 0.203 0.203
Ga: 0.797 0.282 0.797
Ga: 0.797 0.797 0.282
Ga: 0.282 0.797 0.797


Computed, not measured: a geometry-optimized DyGa3 structure at the r²SCAN level of DFT.

Summary:
Electronic total energy = -137.35 eV for the cell shown
Formation enthalpy at 0 K = -2.37 eV/f.u.

Cell lengths 6.253, 6.253, 4.481 Å; angles 90.00, 90.00, 120.00 degrees
Fractional positions:
Dy: 0.333 0.667 0.750
Dy: 0.667 0.333 0.250
Ga: 0.145 0.291 0.250
Ga: 0.709 0.855 0.250
Ga: 0.145 0.855 0.250
Ga: 0.855 0.709 0.750
Ga: 0.291 0.145 0.750
Ga: 0.855 0.145 0.750


Computed, not measured: a geometry-optimized Dy2Ga9Ir3 structure at the r²SCAN level of DFT.

Summary:
Electronic total energy = -669.29 eV for the cell shown
Formation enthalpy at 0 K = -10.62 eV/f.u.

Cell lengths 7.494, 7.494, 9.444 Å; angles 90.00, 90.00, 119.81 degrees
Fractional positions:
Dy: 0.998 0.669 0.250
Dy: 0.002 0.331 0.750
Dy: 0.669 0.998 0.250
Dy: 0.331 0.002 0.750
Ga: 0.130 0.130 0.250
Ga: 0.870 0.870 0.750
Ga: 0.001 0.334 0.079
Ga: 0.999 0.666 0.921
Ga: 0.999 0.666 0.579
Ga: 0.334 0.001 0.421
Ga: 0.001 0.334 0.421
Ga: 0.666 0.999 0.579
Ga: 0.666 0.999 0.921
Ga: 0.334 0.001 0.079
Ga: 0.334 0.334 0.567
Ga: 0.666 0.666 0.433
Ga: 0.666 0.666 0.067
Ga: 0.334 0.334 0.933
Ga: 0.338 0.545 0.250
Ga: 0.662 0.455 0.750
Ga: 0.545 0.338 0.250
Ga: 0.455 0.662 0.750
Ir: 0.671 0.329 0.000
Ir: 0.329 0.671 0.000
Ir: 0.329 0.671 0.500
Ir: 0.671 0.329 0.500
Ir: 0.000 0.000 0.000
Ir: 0.000 0.000 0.500


Computed, not measured: a geometry-optimized Dy4Ga12Ni structure at the r²SCAN level of DFT.

Summary:
Electronic total energy = -287.57 eV for the cell shown
Formation enthalpy at 0 K = -10.34 eV/f.u.

Cell lengths 7.359, 7.359, 7.359 Å; angles 109.47, 109.47, 109.47 degrees
Fractional positions:
Dy: 0.000 0.000 0.500
Dy: 0.000 0.500 0.000
Dy: 0.500 0.000 0.000
Dy: 0.500 0.500 0.500
Ga: 0.750 0.250 0.500
Ga: 0.750 0.500 0.250
Ga: 0.500 0.250 0.750
Ga: 0.250 0.500 0.750
Ga: 0.250 0.750 0.500
Ga: 0.500 0.750 0.250
Ga: 0.712 0.712 0.000
Ga: 0.288 0.000 0.288
Ga: 0.000 0.288 0.288
Ga: 0.288 0.288 0.000
Ga: 0.712 0.000 0.712
Ga: 0.000 0.712 0.712
Ni: 0.000 0.000 0.000


Computed, not measured: a geometry-optimized DyGa3Ni2 structure at the r²SCAN level of DFT.

Summary:
Electronic total energy = -281.72 eV for the cell shown
Formation enthalpy at 0 K = -3.63 eV/f.u.

Cell lengths 8.907, 8.907, 4.024 Å; angles 90.00, 90.00, 120.00 degrees
Fractional positions:
Dy: 0.333 0.667 0.000
Dy: 0.667 0.333 0.000
Dy: 0.000 0.000 0.500
Ga: 0.293 0.000 0.000
Ga: 0.293 0.293 0.000
Ga: 0.000 0.707 0.000
Ga: 0.000 0.293 0.000
Ga: 0.707 0.707 0.000
Ga: 0.707 0.000 0.000
Ga: 0.500 0.000 0.500
Ga: 0.500 0.500 0.500
Ga: 0.000 0.500 0.500
Ni: 0.183 0.365 0.500
Ni: 0.817 0.183 0.500
Ni: 0.365 0.183 0.500
Ni: 0.635 0.817 0.500
Ni: 0.183 0.817 0.500
Ni: 0.817 0.635 0.500


Computed, not measured: a geometry-optimized Dy2GaNi2 structure at the r²SCAN level of DFT.

Summary:
Electronic total energy = -102.32 eV for the cell shown
Formation enthalpy at 0 K = -2.95 eV/f.u.

Cell lengths 4.166, 5.302, 5.299 Å; angles 120.02, 113.15, 90.00 degrees
Fractional positions:
Dy: 0.798 0.298 0.597
Dy: 0.202 0.702 0.403
Ga: 0.000 0.000 0.000
Ni: 0.500 0.267 0.000
Ni: 0.500 0.733 0.000


Computed, not measured: a geometry-optimized DyGa2Ni3 structure at the r²SCAN level of DFT.

Summary:
Electronic total energy = -282.83 eV for the cell shown
Formation enthalpy at 0 K = -3.47 eV/f.u.

Cell lengths 4.034, 8.698, 8.698 Å; angles 60.03, 90.00, 90.00 degrees
Fractional positions:
Dy: 0.500 0.333 0.333
Dy: 0.500 0.667 0.667
Dy: 0.000 0.000 0.000
Ga: 0.000 0.522 0.478
Ga: 0.000 0.478 0.000
Ga: 0.000 0.000 0.522
Ga: 0.500 0.272 0.728
Ga: 0.500 0.728 0.000
Ga: 0.500 0.000 0.272
Ni: 0.000 0.172 0.202
Ni: 0.000 0.202 0.626
Ni: 0.000 0.627 0.172
Ni: 0.000 0.798 0.828
Ni: 0.000 0.374 0.798
Ni: 0.000 0.828 0.373
Ni: 0.500 0.709 0.291
Ni: 0.500 0.290 0.000
Ni: 0.500 0.000 0.710